The following is a DFT calculation (PBE) of crystalline Ba2Sc2O5 at its relaxed geometry.

## Properties
The total energy comes out at -7.681 eV per atom. The density is 5.1 Mg/m³. The value obtained for the magnetic moment is 0.00 μB per formula unit. As for the energy relative to the elements: -3.48 eV/atom. As for the space group: P4/mmm (123).

Structure (CIF):
```
data_Ba2Sc2O5
_chemical_formula_sum 'Ba2 Sc2 O5'
_cell_length_a 4.187
_cell_length_b 4.187
_cell_length_c 8.307
_cell_angle_alpha 90.00
_cell_angle_beta 90.00
_cell_angle_gamma 90.00
_symmetry_space_group_name_H-M 'P 1'
_symmetry_Int_Tables_number 1
_symmetry_space_group_name_Hall 'P 1'
loop_
_atom_site_label
_atom_site_fract_x
_atom_site_fract_y
_atom_site_fract_z
Ba1 0.000 0.000 0.000
Ba2 0.000 0.000 0.500
Sc1 0.500 0.500 0.239
Sc2 0.500 0.500 0.761
O1 0.000 0.500 0.279
O2 0.000 0.500 0.721
O3 0.500 0.000 0.279
O4 0.500 0.000 0.721
O5 0.500 0.500 0.000
```



The following is a DFT calculation (PBE) of crystalline Ba4Na2CaTi3Si4S2O26 at its relaxed geometry.

## Properties
The total energy comes out at -7.333 eV per atom. The density is 3.9 Mg/m³. The value obtained for the magnetic moment is 0.00 μB per formula unit. As for the energy relative to the elements: -3.12 eV/atom. As for the space group: P1 (1).

Structure (CIF):
```
data_Ba4Na2CaTi3Si4S2O26
_chemical_formula_sum 'Ba4 Na2 Ca1 Ti3 Si4 S2 O26'
_cell_length_a 5.497
_cell_length_b 7.210
_cell_length_c 15.003
_cell_angle_alpha 81.17
_cell_angle_beta 85.24
_cell_angle_gamma 89.98
_symmetry_space_group_name_H-M 'P 1'
_symmetry_Int_Tables_number 1
_symmetry_space_group_name_Hall 'P 1'
loop_
_atom_site_label
_atom_site_fract_x
_atom_site_fract_y
_atom_site_fract_z
Ba1 0.000 0.000 0.000
Ba2 0.066 0.288 0.687
Ba3 0.480 0.463 0.088
Ba4 0.550 0.751 0.775
Na1 0.274 0.142 0.388
Na2 0.773 0.879 0.388
Ca1 0.272 0.600 0.387
Ti1 0.091 0.813 0.589
Ti2 0.456 0.937 0.186
Ti3 0.772 0.362 0.388
Si1 0.595 0.099 0.578
Si2 0.595 0.534 0.577
Si3 0.951 0.217 0.199
Si4 0.951 0.653 0.196
S1 0.021 0.576 0.911
S2 0.532 0.174 0.863
O1 0.014 0.376 0.950
O2 0.030 0.363 0.460
O3 0.044 0.605 0.809
O4 0.114 0.845 0.475
O5 0.207 0.136 0.154
O6 0.209 0.761 0.150
O7 0.235 0.671 0.942
O8 0.317 0.081 0.832
O9 0.338 0.614 0.623
O10 0.339 0.990 0.624
O11 0.434 0.895 0.300
O12 0.508 0.148 0.965
O13 0.515 0.407 0.316
O14 0.546 0.374 0.823
O15 0.582 0.304 0.619
O16 0.609 0.568 0.468
O17 0.613 0.134 0.469
O18 0.719 0.136 0.153
O19 0.719 0.762 0.148
O20 0.759 0.077 0.833
O21 0.792 0.670 0.942
O22 0.826 0.616 0.624
O23 0.829 0.991 0.624
O24 0.933 0.184 0.308
O25 0.937 0.620 0.305
O26 0.964 0.447 0.156
```



The following is a DFT calculation (PBE) of crystalline Nd2Fe4Co13 at its relaxed geometry.

## Properties
The total energy comes out at -7.204 eV per atom. The density is 8.4 Mg/m³. The value obtained for the magnetic moment is 28.57 μB per formula unit. As for the energy relative to the elements: -0.06 eV/atom. As for the space group: R3m (160).

Structure (CIF):
```
data_Nd2Fe4Co13
_chemical_formula_sum 'Nd2 Fe4 Co13'
_cell_length_a 6.357
_cell_length_b 6.357
_cell_length_c 6.357
_cell_angle_alpha 82.78
_cell_angle_beta 82.78
_cell_angle_gamma 82.78
_symmetry_space_group_name_H-M 'P 1'
_symmetry_Int_Tables_number 1
_symmetry_space_group_name_Hall 'P 1'
loop_
_atom_site_label
_atom_site_fract_x
_atom_site_fract_y
_atom_site_fract_z
Nd1 0.000 0.000 0.000
Nd2 0.314 0.314 0.314
Fe1 0.153 0.659 0.659
Fe2 0.563 0.563 0.563
Fe3 0.659 0.153 0.659
Fe4 0.659 0.659 0.153
Co1 0.001 0.001 0.501
Co2 0.001 0.501 0.001
Co3 0.314 0.314 0.809
Co4 0.314 0.809 0.314
Co5 0.372 0.657 0.942
Co6 0.372 0.942 0.657
Co7 0.501 0.001 0.001
Co8 0.657 0.372 0.942
Co9 0.657 0.942 0.372
Co10 0.754 0.754 0.754
Co11 0.809 0.314 0.314
Co12 0.942 0.372 0.657
Co13 0.942 0.657 0.372
```



The following is a DFT calculation (PBE) of crystalline Mg6CrSi at its relaxed geometry.

## Properties
The total energy comes out at -2.931 eV per atom. The calculation puts the distance to the lowest polymorph of the same formula at 10 meV/atom. The density is 2.3 Mg/m³. The value obtained for the magnetic moment is 3.85 μB per formula unit. As for the energy relative to the elements: 0.16 eV/atom.

Structure (CIF):
```
data_Mg6CrSi
_chemical_formula_sum 'Mg12 Cr2 Si2'
_cell_length_a 4.912
_cell_length_b 6.061
_cell_length_c 10.736
_cell_angle_alpha 90.00
_cell_angle_beta 90.00
_cell_angle_gamma 90.00
_symmetry_space_group_name_H-M 'P 1'
_symmetry_Int_Tables_number 1
_symmetry_space_group_name_Hall 'P 1'
loop_
_atom_site_label
_atom_site_fract_x
_atom_site_fract_y
_atom_site_fract_z
Mg1 0.000 0.748 0.086
Mg2 0.000 0.000 0.829
Mg3 0.000 0.752 0.586
Mg4 0.000 0.252 0.086
Mg5 0.500 0.751 0.917
Mg6 0.500 0.749 0.417
Mg7 0.000 0.000 0.330
Mg8 0.500 0.249 0.917
Mg9 0.000 0.248 0.586
Mg10 0.500 0.251 0.417
Mg11 0.000 0.500 0.329
Mg12 0.000 0.500 0.830
Cr1 0.500 0.500 0.167
Cr2 0.500 0.000 0.667
Si1 0.500 0.500 0.668
Si2 0.500 0.000 0.168
```



The following is a DFT calculation (PBE) of crystalline NiC4 at its relaxed geometry.

## Properties
The total energy comes out at -6.817 eV per atom. The density is 1.9 Mg/m³. The value obtained for the magnetic moment is 2.00 μB per formula unit. As for the energy relative to the elements: 1.72 eV/atom. As for the space group: P4_2/mmc (131).

Structure (CIF):
```
data_NiC4
_chemical_formula_sum 'Ni4 C16'
_cell_length_a 4.893
_cell_length_b 4.893
_cell_length_c 15.641
_cell_angle_alpha 90.00
_cell_angle_beta 90.00
_cell_angle_gamma 90.00
_symmetry_space_group_name_H-M 'P 1'
_symmetry_Int_Tables_number 1
_symmetry_space_group_name_Hall 'P 1'
loop_
_atom_site_label
_atom_site_fract_x
_atom_site_fract_y
_atom_site_fract_z
Ni1 0.000 0.000 0.250
Ni2 0.000 0.000 0.750
Ni3 0.000 0.500 0.000
Ni4 0.500 0.000 0.500
C1 0.000 0.129 0.000
C2 0.000 0.370 0.250
C3 0.000 0.370 0.750
C4 0.000 0.630 0.250
C5 0.000 0.630 0.750
C6 0.000 0.871 0.000
C7 0.129 0.000 0.500
C8 0.370 0.000 0.250
C9 0.370 0.000 0.750
C10 0.370 0.500 0.000
C11 0.500 0.370 0.500
C12 0.500 0.630 0.500
C13 0.630 0.000 0.250
C14 0.630 0.000 0.750
C15 0.630 0.500 0.000
C16 0.871 0.000 0.500
```